# 1
# BaNd2NiO5 GGA+U optimized geometry
data_BaNd2NiO5
_symmetry_space_group_name_H-M 'I m m m'
_symmetry_Int_Tables_number 71
_symmetry_space_group_name_Hall '-I 2 2'
_cell_length_a 3.8641
_cell_length_b 5.9871
_cell_length_c 11.8107
_cell_angle_alpha 90.00
_cell_angle_beta 90.00
_cell_angle_gamma 90.00
loop_
_atom_site_label
_atom_site_fract_x
_atom_site_fract_y
_atom_site_fract_z
_atom_site_occupancy
Ba1 0.0000 0.0000 0.0000 1
Nd1 0.0000 0.5000 0.2027 1
Ni1 0.0000 0.0000 0.5000 1
O1 0.0000 0.2415 0.3550 1
O2 0.0000 0.5000 0.0000 1
# E_tot, eV per atom: -7.01

***

# 2
# KCaFe2F9 GGA+U optimized geometry
data_KCaFe2F9
_symmetry_space_group_name_H-M 'C 2 2 21'
_symmetry_Int_Tables_number 20
_cell_length_a 7.6068
_cell_length_b 13.1276
_cell_length_c 23.9356
_cell_angle_alpha 90.00
_cell_angle_beta 90.00
_cell_angle_gamma 90.00
loop_
_symmetry_equiv_pos_as_xyz
'x,y,z'
'-x,-y,z+1/2'
'x,-y,-z'
'-x,y,-z+1/2'
'x+1/2,y+1/2,z'
'-x+1/2,-y+1/2,z+1/2'
'x+1/2,-y+1/2,-z'
'-x+1/2,y+1/2,-z+1/2'
loop_
_atom_site_label
_atom_site_fract_x
_atom_site_fract_y
_atom_site_fract_z
_atom_site_occupancy
K1 0.0000 0.0095 0.2500 1
K2 0.0155 0.0209 0.9165 1
Ca1 0.0150 0.5000 0.0000 1
Ca2 0.2422 0.2564 0.6666 1
Fe1 0.0040 0.4922 0.1689 1
Fe2 0.2312 0.2487 0.4977 1
Fe3 0.2430 0.2413 0.3354 1
F1 0.0000 0.4821 0.7500 1
F2 0.0100 0.4693 0.0900 1
F3 0.0193 0.2696 0.0134 1
F4 0.0276 0.1674 0.3520 1
F5 0.0434 0.1802 0.8226 1
F6 0.0939 0.3576 0.3200 1
F7 0.0999 0.3731 0.8460 1
F8 0.1883 0.2240 0.5763 1
F9 0.2184 0.2067 0.2571 1
F10 0.2252 0.4415 0.6643 1
F11 0.2260 0.1025 0.4836 1
F12 0.2295 0.2244 0.9165 1
F13 0.2324 0.4260 0.1774 1
F14 0.2454 0.3957 0.5082 1
# E_tot, eV per atom: -5.30

***

# 3
# Mo9O26 GGA+U optimized geometry
data_Mo9O26
_symmetry_space_group_name_H-M 'P -1'
_symmetry_Int_Tables_number 2
_cell_length_a 8.5204
_cell_length_b 12.0915
_cell_length_c 20.1440
_cell_angle_alpha 95.41
_cell_angle_beta 92.41
_cell_angle_gamma 109.69
loop_
_symmetry_equiv_pos_as_xyz
'x,y,z'
'-x,-y,-z'
loop_
_atom_site_label
_atom_site_fract_x
_atom_site_fract_y
_atom_site_fract_z
_atom_site_occupancy
Mo1 0.0032 0.1469 0.3444 1
Mo2 0.0630 0.5735 0.7012 1
Mo3 0.0816 0.8824 0.4104 1
Mo4 0.1376 0.3064 0.7598 1
Mo5 0.1569 0.6149 0.4691 1
Mo6 0.1730 0.8262 0.0342 1
Mo7 0.2164 0.3281 0.5093 1
Mo8 0.2173 0.0402 0.8189 1
Mo9 0.2708 0.5697 0.0929 1
Mo10 0.3001 0.0664 0.5744 1
Mo11 0.3050 0.7705 0.8745 1
Mo12 0.3411 0.1215 0.9936 1
Mo13 0.3551 0.3031 0.1515 1
Mo14 0.3732 0.4928 0.9332 1
Mo15 0.3762 0.8022 0.6386 1
Mo16 0.3980 0.0103 0.1974 1
Mo17 0.4318 0.5133 0.6771 1
Mo18 0.4834 0.7497 0.2615 1
O1 0.0143 0.5089 0.3781 1
O2 0.0221 0.0070 0.6161 1
O3 0.0263 0.2183 0.9424 1
O4 0.0371 0.0030 0.8584 1
O5 0.0389 0.7231 0.1982 1
O6 0.0472 0.7245 0.4404 1
O7 0.0594 0.2273 0.6793 1
O8 0.0746 0.4997 0.1160 1
O9 0.0896 0.2380 0.4336 1
O10 0.1014 0.7301 0.6765 1
O11 0.1123 0.4554 0.2563 1
O12 0.1259 0.4579 0.4968 1
O13 0.1411 0.9570 0.7377 1
O14 0.1462 0.7544 0.9328 1
O15 0.1529 0.2510 0.1719 1
O16 0.1607 0.9610 0.4930 1
O17 0.1750 0.4655 0.7334 1
O18 0.1869 0.1856 0.3079 1
O19 0.1875 0.9758 0.9929 1
O20 0.1981 0.6853 0.8011 1
O21 0.2006 0.1904 0.5535 1
O22 0.2128 0.4804 0.9898 1
O23 0.2170 0.9781 0.2359 1
O24 0.2342 0.6957 0.5500 1
O25 0.2426 0.1947 0.7886 1
O26 0.2502 0.6959 0.0547 1
O27 0.2613 0.9135 0.3708 1
O28 0.2698 0.9128 0.6142 1
O29 0.2728 0.2166 0.0488 1
O30 0.2727 0.4105 0.8570 1
O31 0.2935 0.7077 0.2934 1
O32 0.3080 0.4236 0.6033 1
O33 0.3149 0.9264 0.1089 1
O34 0.3274 0.9274 0.8486 1
O35 0.3339 0.6481 0.4276 1
O36 0.3442 0.6428 0.6686 1
O37 0.3475 0.1494 0.9074 1
O38 0.3730 0.4419 0.3506 1
O39 0.3753 0.4391 0.1033 1
O40 0.3868 0.1582 0.6636 1
O41 0.3901 0.6510 0.1707 1
O42 0.3979 0.6536 0.9039 1
O43 0.4103 0.3717 0.4806 1
O44 0.4180 0.3767 0.7253 1
O45 0.4433 0.1703 0.1564 1
O46 0.4452 0.1645 0.4019 1
O47 0.4554 0.8813 0.7212 1
O48 0.4556 0.8729 0.9744 1
O49 0.4679 0.3875 0.2272 1
O50 0.4823 0.3977 0.9663 1
O51 0.4837 0.1032 0.5382 1
O52 0.4968 0.1111 0.7832 1
# Excess energy over the best structure of this formula in the dataset, meV/atom: 35

***

# 4
# MoSO6 GGA+U optimized geometry
data_MoSO6
_symmetry_space_group_name_H-M 'C 1 2/c 1'
_symmetry_Int_Tables_number 15
_cell_length_a 27.2339
_cell_length_b 12.3891
_cell_length_c 8.8414
_cell_angle_alpha 90.00
_cell_angle_beta 104.60
_cell_angle_gamma 90.00
loop_
_symmetry_equiv_pos_as_xyz
'x,y,z'
'-x,-y,-z'
'-x,y,-z+1/2'
'x,-y,z+1/2'
'x+1/2,y+1/2,z'
'-x+1/2,-y+1/2,-z'
'-x+1/2,y+1/2,-z+1/2'
'x+1/2,-y+1/2,z+1/2'
loop_
_atom_site_label
_atom_site_fract_x
_atom_site_fract_y
_atom_site_fract_z
_atom_site_occupancy
Mo1 0.0792 0.1215 0.1081 1
Mo2 0.0840 0.3742 0.5984 1
Mo3 0.2433 0.3836 0.2614 1
S1 0.0548 0.3742 0.9718 1
S2 0.1224 0.1272 0.7412 1
S3 0.2130 0.1294 0.3167 1
O1 0.0017 0.3436 0.9165 1
O2 0.0222 0.1025 0.9768 1
O3 0.0600 0.4670 0.0851 1
O4 0.0634 0.1286 0.2823 1
O5 0.0703 0.3511 0.4021 1
O6 0.0788 0.4039 0.8468 1
O7 0.0849 0.2834 0.0655 1
O8 0.0864 0.2174 0.6733 1
O9 0.1050 0.0338 0.6310 1
O10 0.1181 0.1019 0.8981 1
O11 0.1477 0.3964 0.6455 1
O12 0.1627 0.1599 0.2233 1
O13 0.1740 0.1557 0.7361 1
O14 0.1876 0.4046 0.3116 1
O15 0.2132 0.0961 0.4754 1
O16 0.2244 0.3681 0.0635 1
O17 0.2332 0.0404 0.2327 1
O18 0.2494 0.2222 0.3222 1
# Excess energy over the best structure of this formula in the dataset, meV/atom: 0

***

# 5
# Li2Fe3CoO8 GGA+U optimized geometry
data_Li2Fe3CoO8
_symmetry_space_group_name_H-M 'C 1 2/m 1'
_symmetry_Int_Tables_number 12
_cell_length_a 10.2113
_cell_length_b 5.9092
_cell_length_c 6.0317
_cell_angle_alpha 90.00
_cell_angle_beta 125.17
_cell_angle_gamma 90.00
loop_
_symmetry_equiv_pos_as_xyz
'x,y,z'
'-x,-y,-z'
'-x,y,-z'
'x,-y,z'
'x+1/2,y+1/2,z'
'-x+1/2,-y+1/2,-z'
'-x+1/2,y+1/2,-z'
'x+1/2,-y+1/2,z'
loop_
_atom_site_label
_atom_site_fract_x
_atom_site_fract_y
_atom_site_fract_z
_atom_site_occupancy
Li1 0.2500 0.2500 0.0000 1
Fe1 0.0000 0.0000 0.5000 1
Fe2 0.2500 0.2500 0.5000 1
Co1 0.0000 0.5000 0.5000 1
O1 0.0061 0.2614 0.2940 1
O2 0.2285 0.5000 0.7122 1
O3 0.2307 0.0000 0.7132 1
# Excess energy over the best structure of this formula in the dataset, meV/atom: 37

***

# 6
# Li4Cr3Co2Sn3O16 GGA+U optimized geometry
data_Li4Cr3Co2Sn3O16
_symmetry_space_group_name_H-M 'P 1'
_symmetry_Int_Tables_number 1
_cell_length_a 6.0759
_cell_length_b 6.1006
_cell_length_c 9.6557
_cell_angle_alpha 89.77
_cell_angle_beta 89.22
_cell_angle_gamma 60.18
loop_
_symmetry_equiv_pos_as_xyz
'x,y,z'
loop_
_atom_site_label
_atom_site_fract_x
_atom_site_fract_y
_atom_site_fract_z
_atom_site_occupancy
Li1 0.0000 0.0000 0.0000 1
Li2 0.0014 0.9926 0.4923 1
Li3 0.3511 0.2979 0.5935 1
Li4 0.6846 0.6266 0.1011 1
Cr1 0.1885 0.1324 0.2810 1
Cr2 0.6723 0.1410 0.2762 1
Cr3 0.8459 0.3085 0.7785 1
Co1 0.3514 0.2936 0.0064 1
Co2 0.6947 0.6343 0.5025 1
Sn1 0.1843 0.6303 0.2780 1
Sn2 0.3534 0.8001 0.7798 1
Sn3 0.8490 0.7983 0.7796 1
O1 0.0123 0.9793 0.6771 1
O2 0.0131 0.9772 0.1832 1
O3 0.0636 0.4294 0.1490 1
O4 0.1731 0.6518 0.9004 1
O5 0.1769 0.1382 0.8938 1
O6 0.3349 0.8233 0.3915 1
O7 0.3489 0.2955 0.3881 1
O8 0.4874 0.0063 0.1662 1
O9 0.5037 0.4362 0.1485 1
O10 0.5381 0.9293 0.6460 1
O11 0.5449 0.4835 0.6475 1
O12 0.6832 0.1370 0.8956 1
O13 0.6854 0.6262 0.8947 1
O14 0.8450 0.8106 0.3967 1
O15 0.8620 0.3010 0.3802 1
O16 0.9813 0.4797 0.6509 1
# Excess energy over the best structure of this formula in the dataset, meV/atom: 0

***

# 7
# K4ZnW3O12 GGA+U optimized geometry
data_K4ZnW3O12
_symmetry_space_group_name_H-M 'P -1'
_symmetry_Int_Tables_number 2
_cell_length_a 8.0652
_cell_length_b 9.9992
_cell_length_c 10.3582
_cell_angle_alpha 95.58
_cell_angle_beta 106.53
_cell_angle_gamma 105.48
loop_
_symmetry_equiv_pos_as_xyz
'x,y,z'
'-x,-y,-z'
loop_
_atom_site_label
_atom_site_fract_x
_atom_site_fract_y
_atom_site_fract_z
_atom_site_occupancy
K1 0.0000 0.0000 0.0000 1
K2 0.1415 0.8885 0.5676 1
K3 0.2470 0.4743 0.5298 1
K4 0.2869 0.7768 0.2409 1
K5 0.5000 0.0000 0.0000 1
Zn1 0.3337 0.4394 0.1429 1
W1 0.1110 0.6060 0.8441 1
W2 0.2722 0.2754 0.8252 1
W3 0.3768 0.1827 0.3632 1
O1 0.0587 0.2678 0.7014 1
O2 0.0966 0.6289 0.6705 1
O3 0.1160 0.4947 0.1560 1
O4 0.1838 0.7781 0.9510 1
O5 0.2017 0.1299 0.4409 1
O6 0.2640 0.2726 0.0032 1
O7 0.2777 0.5139 0.9066 1
O8 0.2920 0.1012 0.7900 1
O9 0.3312 0.0513 0.2136 1
O10 0.3834 0.3589 0.3203 1
O11 0.4040 0.7974 0.5134 1
O12 0.4702 0.3825 0.7828 1
# E_tot, eV per atom: -6.33